--- i ---
A relaxed structure of VPH11O9, computed with PBE with a Hubbard U.

```
VPH11O9
1.0
12.5740 0.0000 0.0000
0.0000 12.5740 0.0000
0.0000 0.0000 6.4870
H O P V
44 36 4 4
Direct
0.9554 0.2740 0.1343
0.0446 0.7260 0.6343
0.3426 0.8267 0.4210
0.9043 0.9852 0.9817
0.3903 0.6658 0.9447
0.8267 0.6574 0.6710
0.1151 0.8582 0.3309
0.1332 0.2793 0.6108
0.7260 0.9554 0.8843
0.7063 0.6272 0.6718
0.0148 0.9043 0.7317
0.7104 0.9497 0.4060
0.1418 0.1151 0.0809
0.3342 0.3903 0.6947
0.6272 0.2937 0.9218
0.4426 0.4162 0.5336
0.4162 0.5574 0.7836
0.6574 0.1733 0.9210
0.9852 0.0957 0.2317
0.8668 0.7207 0.1108
0.0957 0.0148 0.4817
0.2937 0.3728 0.1718
0.2740 0.0446 0.3843
0.3574 0.7159 0.9421
0.5838 0.4426 0.2836
0.5574 0.5838 0.0336
0.1733 0.3426 0.1710
0.2896 0.0503 0.9060
0.6658 0.6097 0.1947
0.8849 0.1418 0.8309
0.7159 0.6426 0.1921
0.8582 0.8849 0.5809
0.9497 0.2896 0.6560
0.2793 0.8668 0.8608
0.6097 0.3342 0.4447
0.7723 0.1389 0.4184
0.1389 0.2277 0.6684
0.2841 0.3574 0.6921
0.6426 0.2841 0.4421
0.2277 0.8611 0.9184
0.0503 0.7104 0.1560
0.3728 0.7063 0.4218
0.7207 0.1332 0.3608
0.8611 0.7723 0.1684
0.2990 0.0607 0.5234
0.8394 0.2044 0.7801
0.5155 0.0200 0.0228
0.0351 0.0586 0.1411
0.7010 0.9393 0.0234
0.5982 0.7099 0.5392
0.2951 0.0870 0.0400
0.6091 0.2240 0.9851
0.9414 0.0351 0.8911
0.8493 0.4407 0.4697
0.4407 0.1507 0.7197
0.1606 0.7956 0.2801
0.9649 0.9414 0.6411
0.7956 0.8394 0.5301
0.7049 0.9130 0.5400
0.4845 0.9800 0.5228
0.3909 0.7760 0.4851
0.4018 0.2901 0.0392
0.2044 0.1606 0.0301
0.4520 0.1534 0.3320
0.9393 0.2990 0.2734
0.5593 0.8493 0.2197
0.0870 0.7049 0.2900
0.9800 0.5155 0.7728
0.9130 0.2951 0.7900
0.0607 0.7010 0.7734
0.5480 0.8466 0.8320
0.0200 0.4845 0.2728
0.2901 0.5982 0.2892
0.2240 0.3909 0.2351
0.0586 0.9649 0.3911
0.8466 0.4520 0.0820
0.1534 0.5480 0.5820
0.7099 0.4018 0.7892
0.1507 0.5593 0.9697
0.7760 0.6091 0.7351
0.0868 0.5733 0.7718
0.4267 0.0868 0.5218
0.9132 0.4267 0.2718
0.5733 0.9132 0.0218
0.5478 0.8302 0.5234
0.8302 0.4522 0.7734
0.1698 0.5478 0.2734
0.4522 0.1698 0.0234
```

density: 1.53 Mg/m³

=====

--- ii ---
A relaxed structure of VPH11O9, computed with PBE with a Hubbard U.

```
VPH11O9
1.0
0.0000 0.0000 6.4249
12.2023 0.0000 0.0000
0.0000 12.2023 0.0000
O H V P
36 44 4 4
Direct
0.7244 0.1558 0.4393
0.3913 0.9789 0.0502
0.9889 0.2282 0.6150
0.5865 0.5468 0.1598
0.7780 0.5141 0.9800
0.0280 0.0200 0.5141
0.5429 0.9195 0.7042
0.4744 0.4393 0.8442
0.6413 0.9498 0.9789
0.3365 0.1598 0.4532
0.7389 0.6150 0.7718
0.2780 0.4859 0.0200
0.2929 0.7042 0.0805
0.2244 0.8442 0.5607
0.2389 0.3850 0.2282
0.0424 0.2991 0.3973
0.7929 0.2958 0.9195
0.0191 0.9393 0.7053
0.5424 0.7009 0.6027
0.7854 0.1992 0.8475
0.9744 0.5607 0.1558
0.2924 0.6027 0.2991
0.7691 0.7053 0.0607
0.2691 0.2947 0.9393
0.7924 0.3973 0.7009
0.4889 0.7718 0.3850
0.2854 0.8008 0.1525
0.8365 0.8402 0.5468
0.5280 0.9800 0.4859
0.5191 0.0607 0.2947
0.1413 0.0502 0.0211
0.0429 0.0805 0.2958
0.0354 0.1525 0.1992
0.0865 0.4532 0.8402
0.5354 0.8475 0.8008
0.8913 0.0211 0.9498
0.6238 0.7265 0.0508
0.6739 0.2305 0.1424
0.3260 0.8638 0.1022
0.0793 0.4999 0.5018
0.4239 0.1424 0.7695
0.8738 0.9492 0.7265
0.8597 0.8624 0.2818
0.3293 0.4982 0.4999
0.3597 0.1376 0.7182
0.9182 0.2995 0.6360
0.1838 0.6105 0.6529
0.1566 0.7077 0.0433
0.9239 0.8576 0.2305
0.9212 0.1732 0.6607
0.9338 0.6529 0.3895
0.4212 0.8268 0.3393
0.4066 0.9567 0.7077
0.5760 0.8978 0.8638
0.8293 0.5018 0.5001
0.1739 0.7695 0.8576
0.1592 0.6411 0.7042
0.0760 0.1022 0.1362
0.4092 0.2958 0.6411
0.1682 0.3640 0.2995
0.6566 0.2923 0.9567
0.9607 0.9721 0.8973
0.6097 0.2818 0.1376
0.4182 0.7005 0.3640
0.8260 0.1362 0.8978
0.2107 0.1027 0.9721
0.5793 0.5001 0.4982
0.7107 0.8973 0.0279
0.6682 0.6360 0.7005
0.1238 0.2735 0.9492
0.1712 0.3393 0.1732
0.4607 0.0279 0.1027
0.6838 0.3895 0.3471
0.9066 0.0433 0.2923
0.3738 0.0508 0.2735
0.6712 0.6607 0.8268
0.1097 0.7182 0.8624
0.9092 0.7042 0.3589
0.4338 0.3471 0.6105
0.6592 0.3589 0.2958
0.0272 0.1766 0.4540
0.2772 0.5460 0.1766
0.5272 0.8234 0.5460
0.7772 0.4540 0.8234
0.0253 0.9102 0.5736
0.7753 0.5736 0.0898
0.2753 0.4264 0.9102
0.5253 0.0898 0.4264
```

density: 1.65 Mg/m³

=====

--- iii ---
A relaxed structure of VPH11O9, computed with PBE with a Hubbard U.

```
VPH11O9
1.0
12.5740 0.0000 0.0000
0.0000 12.5740 0.0000
0.0000 0.0000 6.4870
H O P V
44 36 4 4
Direct
0.6426 0.7159 0.1921
0.3426 0.1733 0.1710
0.1389 0.7723 0.4184
0.7260 0.0446 0.6343
0.3728 0.2937 0.1718
0.2841 0.6426 0.4421
0.0503 0.2896 0.9060
0.8267 0.3426 0.4210
0.7104 0.0503 0.1560
0.3903 0.3342 0.6947
0.6097 0.6658 0.1947
0.4162 0.4426 0.5336
0.1733 0.6574 0.9210
0.5838 0.5574 0.0336
0.0446 0.2740 0.3843
0.3342 0.6097 0.4447
0.7207 0.8668 0.1108
0.7723 0.8611 0.1684
0.6574 0.8267 0.6710
0.7063 0.3728 0.4218
0.7159 0.3574 0.9421
0.9852 0.9043 0.9817
0.8611 0.2277 0.9184
0.6272 0.7063 0.6718
0.6658 0.3903 0.9447
0.0148 0.0957 0.4817
0.8668 0.2793 0.8608
0.9497 0.7104 0.4060
0.8582 0.1151 0.3309
0.0957 0.9852 0.2317
0.3574 0.2841 0.6921
0.2896 0.9497 0.6560
0.5574 0.4162 0.7836
0.2740 0.9554 0.1343
0.1332 0.7207 0.3608
0.2277 0.1389 0.6684
0.9554 0.7260 0.8843
0.1151 0.1418 0.0809
0.1418 0.8849 0.8309
0.4426 0.5838 0.2836
0.9043 0.0148 0.7317
0.8849 0.8582 0.5809
0.2937 0.6272 0.9218
0.2793 0.1332 0.6108
0.5982 0.2901 0.2892
0.1606 0.2044 0.0301
0.9130 0.7049 0.5400
0.2990 0.9393 0.2734
0.9393 0.7010 0.0234
0.2901 0.4018 0.0392
0.2240 0.6091 0.9851
0.4520 0.8466 0.0820
0.8394 0.7956 0.5301
0.7010 0.0607 0.7734
0.1534 0.4520 0.3320
0.5155 0.9800 0.7728
0.7049 0.0870 0.2900
0.4845 0.0200 0.2728
0.5593 0.1507 0.9697
0.9649 0.0586 0.3911
0.4407 0.8493 0.4697
0.7956 0.1606 0.2801
0.9414 0.9649 0.6411
0.4018 0.7099 0.7892
0.5480 0.1534 0.5820
0.0351 0.9414 0.8911
0.7760 0.3909 0.4851
0.0586 0.0351 0.1411
0.0870 0.2951 0.0400
0.7099 0.5982 0.5392
0.1507 0.4407 0.7197
0.8466 0.5480 0.8320
0.0607 0.2990 0.5234
0.2044 0.8394 0.7801
0.9800 0.4845 0.5228
0.0200 0.5155 0.0228
0.3909 0.2240 0.2351
0.6091 0.7760 0.7351
0.2951 0.9130 0.7900
0.8493 0.5593 0.2197
0.5733 0.0868 0.7718
0.9132 0.5733 0.0218
0.0868 0.4267 0.5218
0.4267 0.9132 0.2718
0.8302 0.5478 0.5234
0.1698 0.4522 0.0234
0.5478 0.1698 0.2734
0.4522 0.8302 0.7734
```

density: 1.53 Mg/m³

=====

Preferred: ii; penalty for the next structure: 0.044 eV/atom.

=====

--- i ---
A relaxed structure of V3H6O10, computed with PBE with a Hubbard U.

```
V3H6O10
1.0
-4.0125 5.7292 -5.7126
-1.5460 -6.8020 -5.7359
-4.8737 -0.9639 2.4566
O V H
20 6 12
Direct
0.6538 0.1538 0.5882
0.3462 0.8462 0.5882
0.8462 0.6538 0.5882
0.4132 0.6953 0.1490
0.3047 0.4132 0.1490
0.1589 0.6589 0.7411
0.0000 0.5000 0.2113
0.6589 0.8411 0.7411
0.1953 0.9132 0.1490
0.8411 0.3411 0.7411
0.1538 0.3462 0.5882
0.3411 0.1589 0.7411
0.0000 0.0000 0.5346
0.6953 0.5868 0.1490
0.5868 0.3047 0.1490
0.5000 0.0000 0.2113
0.9132 0.8047 0.1490
0.8047 0.0868 0.1490
0.5000 0.5000 0.5346
0.0868 0.1953 0.1490
0.6387 0.1387 0.2670
0.5000 0.5000 0.2409
0.3613 0.8613 0.2670
0.0000 0.0000 0.2409
0.8613 0.6387 0.2670
0.1387 0.3613 0.2670
0.5531 0.8230 0.7108
0.9469 0.3230 0.7108
0.2701 0.7701 0.6605
0.4469 0.1770 0.7108
0.7299 0.2299 0.6605
0.2299 0.2701 0.6605
0.0531 0.6770 0.7108
0.1770 0.5531 0.7108
0.6770 0.9469 0.7108
0.7701 0.7299 0.6605
0.3230 0.0531 0.7108
0.8230 0.4469 0.7108
```

density: 2.34 Mg/m³

=====

--- ii ---
A relaxed structure of V3H6O10, computed with PBE with a Hubbard U.

```
V3H6O10
1.0
8.9778 0.0000 0.0000
0.0000 6.0104 0.0000
0.0000 0.1558 8.9555
V H O
6 12 20
Direct
0.1076 0.7288 0.6348
0.2478 0.7425 0.9921
0.3837 0.7250 0.3561
0.8924 0.7288 0.1348
0.7522 0.7425 0.4921
0.6163 0.7250 0.8561
0.2924 0.3447 0.0435
0.9538 0.2206 0.9296
0.6391 0.3385 0.9363
0.0462 0.2206 0.4296
0.3182 0.1938 0.6908
0.0448 0.2863 0.2633
0.4770 0.1210 0.6446
0.9552 0.2863 0.7633
0.6818 0.1938 0.1908
0.7076 0.3447 0.5435
0.5230 0.1210 0.1446
0.3609 0.3385 0.4363
0.8950 0.2070 0.8392
0.9079 0.4582 0.1522
0.2497 0.7900 0.4905
0.7503 0.7900 0.9905
0.3419 0.8293 0.1785
0.1737 0.8392 0.8038
0.3885 0.4341 0.3471
0.6115 0.4341 0.8471
0.3977 0.2256 0.6191
0.1050 0.2070 0.3392
0.9352 0.8373 0.5765
0.8263 0.8392 0.3038
0.2317 0.4483 0.9840
0.7683 0.4483 0.4840
0.6023 0.2256 0.1191
0.0648 0.8373 0.0765
0.4441 0.8237 0.9108
0.6581 0.8293 0.6785
0.5559 0.8237 0.4108
0.0921 0.4582 0.6522
```

density: 2.19 Mg/m³

=====

Preferred: i; penalty for the next structure: 0.053 eV/atom.